No. 1
! Li32Ti3Cr13O48 | the Materials Project | GGA+U | optimized geometry; values from VASP
&SYSTEM
  ibrav = 0, nat = 96, ntyp = 4
/
ATOMIC_SPECIES
Li 6.94 Li.upf
O 16.00 O.upf
Cr 52.00 Cr.upf
Ti 47.87 Ti.upf
CELL_PARAMETERS angstrom
3.6447 -3.2223 1.3885
-0.3888 3.0193 8.1738
-14.4368 -13.0898 1.2117
ATOMIC_POSITIONS crystal
Li 0.4897 0.6663 0.7494
Li 0.7484 0.2511 0.0008
Li 0.1236 0.6252 0.6254
Li 0.7434 0.9206 0.0003
Li 0.9935 0.1702 0.7500
Li 0.2422 0.4211 0.0003
Li 0.4998 0.0001 0.7501
Li 0.2560 0.7483 0.9996
Li 0.0004 0.5000 0.7501
Li 0.6246 0.1265 0.1250
Li 0.5102 0.3337 0.7509
Li 0.2547 0.0797 0.0000
Li 0.7574 0.5789 0.5006
Li 0.3758 0.8758 0.3751
Li 0.2622 0.0808 0.4995
Li 0.3757 0.8744 0.8751
Li 0.4951 0.0015 0.2503
Li 0.0016 0.4984 0.2496
Li 0.8765 0.3749 0.8746
Li 0.0068 0.8299 0.7502
Li 0.7449 0.9214 0.5006
Li 0.8770 0.3751 0.3744
Li 0.0075 0.8302 0.2501
Li 0.7435 0.2502 0.5007
Li 0.2421 0.4179 0.4995
Li 0.6244 0.1256 0.6250
Li 0.9937 0.1694 0.2495
Li 0.1247 0.6235 0.1249
Li 0.2484 0.7507 0.4993
Li 0.7556 0.5801 0.0004
Li 0.5063 0.3310 0.2503
Li 0.4950 0.6696 0.2494
O 0.0375 0.8896 0.4315
O 0.9652 0.1047 0.0694
O 0.9218 0.4277 0.0676
O 0.7870 0.6476 0.6814
O 0.0368 0.8968 0.9317
O 0.3177 0.8255 0.1827
O 0.0754 0.2165 0.4309
O 0.5747 0.7168 0.9326
O 0.0761 0.5706 0.9324
O 0.4332 0.9223 0.5676
O 0.4671 0.6056 0.5698
O 0.2129 0.3618 0.3186
O 0.4186 0.2857 0.0686
O 0.5326 0.3914 0.4296
O 0.8208 0.3245 0.6823
O 0.0636 0.2120 0.9309
O 0.7146 0.8538 0.3186
O 0.2829 0.1416 0.1803
O 0.8160 0.9622 0.1815
O 0.1836 0.0378 0.8187
O 0.1806 0.0371 0.3186
O 0.3308 0.4638 0.1808
O 0.7144 0.8597 0.8187
O 0.5659 0.7093 0.4314
O 0.3164 0.8249 0.6824
O 0.9359 0.7878 0.5690
O 0.1822 0.6751 0.3172
O 0.5323 0.3942 0.9302
O 0.0658 0.5751 0.4322
O 0.3292 0.4667 0.6812
O 0.4670 0.6071 0.0697
O 0.4259 0.2834 0.5677
O 0.4335 0.9236 0.0678
O 0.2857 0.1402 0.6814
O 0.9237 0.4293 0.5676
O 0.8281 0.3239 0.1818
O 0.7857 0.6464 0.1809
O 0.5668 0.0777 0.9327
O 0.2130 0.3525 0.8186
O 0.6691 0.1787 0.3172
O 0.9639 0.1031 0.5684
O 0.5758 0.0709 0.4334
O 0.6709 0.5334 0.8189
O 0.1795 0.6755 0.8178
O 0.9351 0.7891 0.0688
O 0.8162 0.9622 0.6813
O 0.6849 0.5379 0.3188
O 0.6832 0.1751 0.8177
Cr 0.6288 0.7974 0.1258
Cr 0.6294 0.7974 0.6261
Cr 0.3706 0.2026 0.8741
Cr 0.1254 0.9524 0.1249
Cr 0.6203 0.4611 0.6250
Cr 0.1262 0.9528 0.6249
Cr 0.3779 0.2115 0.3749
Cr 0.8715 0.7028 0.3744
Cr 0.3719 0.5473 0.3740
Cr 0.1262 0.2882 0.1245
Cr 0.6200 0.4610 0.1249
Cr 0.8737 0.0472 0.8752
Cr 0.3798 0.5389 0.8751
Ti 0.8778 0.0394 0.3765
Ti 0.1261 0.2878 0.6236
Ti 0.8741 0.7123 0.8766
! Mass density: 3.54 g/cm3
! Volume: 849.6 Å³/cell
! E_tot: -6.4236 eV per atom

No. 2
! Li24Ti7Cr5O36 | the Materials Project | GGA+U | optimized geometry; values from VASP
&SYSTEM
  ibrav = 0, nat = 72, ntyp = 4
/
ATOMIC_SPECIES
Ti 47.87 Ti.upf
O 16.00 O.upf
Li 6.94 Li.upf
Cr 52.00 Cr.upf
CELL_PARAMETERS angstrom
5.0634 0.0000 0.0000
2.5259 4.3930 0.0000
0.0494 0.0301 28.9783
ATOMIC_POSITIONS crystal
Ti 0.4970 0.8324 0.0832
Ti 0.1663 0.8338 0.9167
Ti 0.5047 0.8306 0.5835
Ti 0.5011 0.1646 0.9166
Ti 0.1694 0.1674 0.2501
Ti 0.1709 0.8321 0.4167
Ti 0.8307 0.8320 0.7498
O 0.8555 0.1392 0.2128
O 0.8114 0.8607 0.1205
O 0.5300 0.4897 0.6215
O 0.8277 0.8606 0.3795
O 0.4757 0.8542 0.4550
O 0.4785 0.8550 0.9547
O 0.5102 0.8534 0.2125
O 0.8542 0.5095 0.2881
O 0.5034 0.8530 0.7118
O 0.8336 0.1448 0.9545
O 0.1462 0.4962 0.2111
O 0.8093 0.5043 0.5444
O 0.4897 0.1473 0.7873
O 0.5203 0.5038 0.1223
O 0.8129 0.4907 0.0453
O 0.1390 0.8560 0.2873
O 0.1892 0.4996 0.9553
O 0.1705 0.8529 0.0453
O 0.5293 0.1477 0.5460
O 0.8532 0.5042 0.7888
O 0.1617 0.1443 0.6204
O 0.1884 0.1448 0.8788
O 0.8280 0.1450 0.4537
O 0.5269 0.1449 0.0463
O 0.1462 0.4906 0.7118
O 0.4761 0.5048 0.3778
O 0.1606 0.8611 0.5460
O 0.4768 0.5005 0.8781
O 0.1446 0.8607 0.7872
O 0.8329 0.8562 0.8787
O 0.4966 0.1470 0.2881
O 0.8100 0.8523 0.6216
O 0.1965 0.4908 0.4548
O 0.8604 0.1451 0.7129
O 0.1959 0.1478 0.3792
O 0.1563 0.1466 0.1209
Li 0.1661 0.4970 0.8332
Li 0.8300 0.5018 0.4167
Li 0.4944 0.1760 0.6665
Li 0.5019 0.8222 0.8331
Li 0.1694 0.5005 0.3333
Li 0.8324 0.1807 0.8333
Li 0.1573 0.1768 0.0000
Li 0.1689 0.5016 0.0834
Li 0.5021 0.5020 0.7500
Li 0.1633 0.5019 0.5834
Li 0.1707 0.8275 0.6668
Li 0.8350 0.8251 0.4998
Li 0.8334 0.5000 0.1667
Li 0.8176 0.1771 0.3330
Li 0.5006 0.4964 0.0002
Li 0.4975 0.4986 0.2500
Li 0.8360 0.4937 0.6667
Li 0.1606 0.1793 0.5000
Li 0.5019 0.1804 0.1668
Li 0.5056 0.4936 0.4999
Li 0.8428 0.8253 0.0005
Li 0.1647 0.8196 0.1665
Li 0.5121 0.8239 0.3337
Li 0.8332 0.5002 0.9167
Cr 0.1689 0.1673 0.7501
Cr 0.8314 0.8323 0.2498
Cr 0.4974 0.1675 0.4166
Cr 0.8315 0.1662 0.5832
Cr 0.8354 0.1676 0.0835
! Mass density: 3.45 g/cm3
! Energy above the most stable polymorph in this dataset: 3 meV/atom
! Volume: 644.6 Å³/cell
! E_tot: -6.7303 eV per atom

No. 3
! Li24Ti7Cr5O36 | the Materials Project | GGA+U | optimized geometry; values from VASP
&SYSTEM
  ibrav = 0, nat = 72, ntyp = 4
/
ATOMIC_SPECIES
Cr 52.00 Cr.upf
Ti 47.87 Ti.upf
Li 6.94 Li.upf
O 16.00 O.upf
CELL_PARAMETERS angstrom
5.0563 0.0000 0.0000
-0.7759 9.7678 0.0000
-2.5200 -1.9343 13.0762
ATOMIC_POSITIONS crystal
Cr 0.7843 0.7487 0.8059
Cr 0.8813 0.2488 0.5256
Cr 0.7877 0.2501 0.3073
Cr 0.1064 0.7503 0.4736
Cr 0.1060 0.2499 0.9735
Ti 0.2327 0.2565 0.1946
Ti 0.2301 0.7568 0.6938
Ti 0.8820 0.7449 0.0258
Ti 0.4399 0.7530 0.1396
Ti 0.5541 0.2471 0.8602
Ti 0.5548 0.7464 0.3608
Ti 0.4399 0.2480 0.6387
Li 0.6248 0.9988 0.7204
Li 0.9994 0.7501 0.2513
Li 0.0474 0.4989 0.1119
Li 0.0452 0.0011 0.6121
Li 0.3340 0.7497 0.9155
Li 0.7169 0.4990 0.4461
Li 0.8313 0.4986 0.6674
Li 0.4930 0.4990 0.0008
Li 0.2864 0.0009 0.0526
Li 0.9547 0.0002 0.3877
Li 0.3860 0.5020 0.7806
Li 0.6671 0.7502 0.5846
Li 0.8306 0.0004 0.1676
Li 0.2851 0.5013 0.5538
Li 0.1583 0.0015 0.8339
Li 0.4976 0.9987 0.5018
Li 0.1610 0.5023 0.3336
Li 0.6673 0.2503 0.0847
Li 0.3332 0.2499 0.4165
Li 0.3819 0.0007 0.2790
Li 0.9525 0.4995 0.8867
Li 0.9969 0.2496 0.7496
Li 0.6244 0.4991 0.2205
Li 0.7181 0.0004 0.9459
O 0.9999 0.3608 0.4244
O 0.0619 0.6349 0.7849
O 0.4016 0.6361 0.4532
O 0.6028 0.3652 0.5471
O 0.5269 0.6374 0.6910
O 0.8187 0.3623 0.9779
O 0.7336 0.1339 0.6185
O 0.6606 0.6357 0.9052
O 0.0636 0.1346 0.2853
O 0.0018 0.1378 0.0680
O 0.9982 0.8608 0.9245
O 0.3390 0.8649 0.5967
O 0.2601 0.3633 0.8829
O 0.9312 0.8656 0.7136
O 0.3321 0.6363 0.2377
O 0.6675 0.1384 0.4085
O 0.5961 0.8665 0.0483
O 0.1861 0.1386 0.5217
O 0.6634 0.3634 0.7623
O 0.7379 0.6344 0.1179
O 0.0016 0.6377 0.5679
O 0.4017 0.1362 0.9530
O 0.2612 0.8639 0.3834
O 0.8537 0.1360 0.8555
O 0.3316 0.1351 0.7373
O 0.1430 0.8645 0.1429
O 0.9329 0.3661 0.2144
O 0.8543 0.6357 0.3557
O 0.3399 0.3646 0.0971
O 0.1910 0.6370 0.0227
O 0.5281 0.1378 0.1925
O 0.8187 0.8622 0.4782
O 0.4807 0.8615 0.8107
O 0.4810 0.3621 0.3115
O 0.1385 0.3624 0.6407
O 0.6670 0.8637 0.2634
! Mass density: 3.44 g/cm3
! Energy above the most stable polymorph in this dataset: 0 meV/atom
! Volume: 645.8 Å³/cell
! E_tot: -6.7327 eV per atom

No. 4
! Li2TiCrO4 | the Materials Project | GGA+U | optimized geometry; values from VASP
&SYSTEM
  ibrav = 0, nat = 32, ntyp = 4
/
ATOMIC_SPECIES
Li 6.94 Li.upf
Cr 52.00 Cr.upf
O 16.00 O.upf
Ti 47.87 Ti.upf
CELL_PARAMETERS angstrom
-1.6575 4.1598 2.5401
5.2006 -3.0941 5.0694
5.1999 3.0982 -5.0687
ATOMIC_POSITIONS crystal
Li 0.4973 0.6275 0.3770
Li 0.9991 0.4992 0.5009
Li 0.0009 0.9991 0.0008
Li 0.0037 0.2503 0.7488
Li 0.5027 0.1230 0.8725
Li 0.5020 0.3735 0.6240
Li 0.9963 0.7512 0.2497
Li 0.4979 0.8760 0.1265
Cr 0.0000 0.8727 0.6273
Cr 0.0000 0.1269 0.3731
Cr 0.0000 0.6235 0.8764
Cr 0.0000 0.3750 0.1250
O 0.7611 0.3855 0.8881
O 0.7503 0.4956 0.2447
O 0.2532 0.5099 0.7612
O 0.2389 0.6119 0.1144
O 0.2426 0.3640 0.3615
O 0.2626 0.8579 0.8766
O 0.2537 0.0131 0.2600
O 0.2605 0.7591 0.5097
O 0.7395 0.9903 0.7409
O 0.7469 0.7388 0.9901
O 0.7575 0.1385 0.1361
O 0.7399 0.8935 0.3764
O 0.7462 0.2400 0.4869
O 0.7377 0.6236 0.6421
O 0.2599 0.1234 0.6066
O 0.2496 0.2553 0.0044
Ti 0.5000 0.4964 0.0036
Ti 0.5000 0.7483 0.7517
Ti 0.5000 0.2561 0.2439
Ti 0.5000 0.0006 0.4993
! Mass density: 3.92 g/cm3
! Energy above the most stable polymorph in this dataset: 7 meV/atom
! Volume: 301.1 Å³/cell
! E_tot: -7.2047 eV per atom

No. 5
! Li32Ti3Cr13O48 | the Materials Project | GGA+U | optimized geometry; values from VASP
&SYSTEM
  ibrav = 0, nat = 96, ntyp = 4
/
ATOMIC_SPECIES
Cr 52.00 Cr.upf
Li 6.94 Li.upf
O 16.00 O.upf
Ti 47.87 Ti.upf
CELL_PARAMETERS angstrom
5.0637 0.0000 0.0000
-0.0115 8.7327 0.0000
-1.6845 -2.8576 19.2711
ATOMIC_POSITIONS crystal
Cr 0.1239 0.9518 0.1249
Cr 0.6241 0.7973 0.1246
Cr 0.3783 0.2035 0.8760
Cr 0.8770 0.0472 0.3752
Cr 0.3706 0.5385 0.8749
Cr 0.6266 0.4623 0.6251
Cr 0.1276 0.2876 0.1255
Cr 0.6281 0.4620 0.1252
Cr 0.3766 0.2026 0.3756
Cr 0.8781 0.0473 0.8754
Cr 0.3719 0.5378 0.3747
Cr 0.6247 0.7975 0.6248
Cr 0.1237 0.9529 0.6247
Li 0.2553 0.0790 0.0001
Li 0.6255 0.1261 0.6252
Li 0.7420 0.2531 0.5005
Li 0.9922 0.1699 0.2491
Li 0.3744 0.8739 0.3747
Li 0.5002 0.9999 0.7500
Li 0.7449 0.9220 0.5004
Li 0.7468 0.2523 0.0002
Li 0.8731 0.3751 0.3756
Li 0.5105 0.3331 0.2500
Li 0.5155 0.3342 0.7506
Li 0.1259 0.6245 0.6243
Li 0.1268 0.6226 0.1245
Li 0.7428 0.9215 0.0002
Li 0.7545 0.5784 0.5000
Li 0.2445 0.4212 0.0002
Li 0.6245 0.1272 0.1254
Li 0.0085 0.8299 0.7503
Li 0.2457 0.4213 0.4998
Li 0.0031 0.4995 0.2494
Li 0.4846 0.6664 0.2495
Li 0.2574 0.7474 0.9998
Li 0.7540 0.5787 0.0000
Li 0.4852 0.6659 0.7494
Li 0.2583 0.7468 0.4993
Li 0.9996 0.4999 0.7500
Li 0.8730 0.3752 0.8757
Li 0.3745 0.8743 0.8748
Li 0.9913 0.1700 0.7498
Li 0.0092 0.8306 0.2503
Li 0.5022 0.9996 0.2505
Li 0.2550 0.0779 0.4994
O 0.2167 0.3591 0.8199
O 0.6745 0.5330 0.8190
O 0.3161 0.8263 0.1825
O 0.3277 0.4660 0.6813
O 0.5694 0.7137 0.4313
O 0.2174 0.3575 0.3203
O 0.5685 0.7131 0.9312
O 0.5373 0.3893 0.4310
O 0.5369 0.3887 0.9313
O 0.9674 0.1046 0.0698
O 0.9364 0.7878 0.5688
O 0.6859 0.1746 0.8178
O 0.4290 0.2850 0.5683
O 0.0803 0.5710 0.9324
O 0.1742 0.6786 0.3162
O 0.8144 0.9614 0.1815
O 0.3140 0.8251 0.6820
O 0.5656 0.0757 0.4327
O 0.7127 0.8601 0.3185
O 0.5655 0.0751 0.9327
O 0.0635 0.2120 0.4313
O 0.6862 0.1749 0.3178
O 0.9181 0.4269 0.0681
O 0.6734 0.5336 0.3188
O 0.4213 0.2869 0.0691
O 0.1734 0.6792 0.8162
O 0.9636 0.1031 0.5687
O 0.4340 0.9236 0.5672
O 0.1848 0.0396 0.3184
O 0.0633 0.2121 0.9313
O 0.2849 0.1412 0.1810
O 0.8242 0.3221 0.6834
O 0.2869 0.1403 0.6816
O 0.8318 0.3224 0.1825
O 0.0803 0.5714 0.4324
O 0.4648 0.6090 0.5693
O 0.4361 0.9250 0.0675
O 0.8157 0.9609 0.6817
O 0.9207 0.4283 0.5677
O 0.1850 0.0405 0.8186
O 0.3281 0.4650 0.1812
O 0.0360 0.8967 0.4312
O 0.7828 0.6439 0.1802
O 0.9347 0.7883 0.0684
O 0.4623 0.6104 0.0692
O 0.0353 0.8965 0.9314
O 0.7830 0.6440 0.6802
O 0.7123 0.8599 0.8185
Ti 0.8715 0.7112 0.8736
Ti 0.8723 0.7108 0.3737
Ti 0.1276 0.2889 0.6255
! Mass density: 3.53 g/cm3
! Volume: 852.2 Å³/cell
! E_tot: -6.4236 eV per atom

No. 6
! Li2TiCrO4 | the Materials Project | GGA+U | optimized geometry; values from VASP
&SYSTEM
  ibrav = 0, nat = 32, ntyp = 4
/
ATOMIC_SPECIES
O 16.00 O.upf
Li 6.94 Li.upf
Ti 47.87 Ti.upf
Cr 52.00 Cr.upf
CELL_PARAMETERS angstrom
-1.5614 2.4966 2.9445
-14.6144 -9.1401 0.0000
1.5598 -2.4941 2.9415
ATOMIC_POSITIONS crystal
O 0.5000 0.6303 0.5000
O 0.0000 0.7611 0.5000
O 0.5000 0.0112 0.9999
O 0.0000 0.9886 0.4999
O 0.0000 0.4890 0.5001
O 0.0000 0.2613 0.5000
O 0.0000 0.1198 0.0000
O 0.5000 0.1304 0.5000
O 0.5000 0.3699 0.5000
O 0.5000 0.2388 0.0000
O 0.0000 0.6198 0.0000
O 0.5000 0.8698 0.5000
O 0.0000 0.3803 0.0000
O 0.0000 0.8802 0.0000
O 0.5000 0.7388 0.0000
O 0.5000 0.5112 0.0000
Li 0.5000 0.9996 0.4999
Li 0.0000 0.7497 0.0000
Li 0.5000 0.4996 0.5000
Li 0.0000 0.6252 0.5000
Li 0.0000 0.1252 0.5000
Li 0.5000 0.3753 0.0000
Li 0.5000 0.8750 0.0000
Li 0.0000 0.2498 0.0000
Ti 0.0000 0.3750 0.5000
Ti 0.5000 0.1250 0.0000
Ti 0.5000 0.6249 0.0000
Ti 0.0000 0.8749 0.5000
Cr 0.5000 0.2502 0.5000
Cr 0.5000 0.7501 0.5000
Cr 0.0000 0.5002 0.0001
Cr 0.0000 0.9999 0.9999
! Mass density: 3.95 g/cm3
! Energy above the most stable polymorph in this dataset: 6 meV/atom
! Volume: 298.6 Å³/cell
! E_tot: -7.2053 eV per atom